# PBE-GGA Rb3Si, relaxed
# - relative energy among the computed polymorphs (eV per formula unit) = 0.042
# - energy with MP2020 corrections (eV/cell) = -13.54
# - total magnetization (μB per atom) = 0.2557
data_Rb3Si
_chemical_formula_sum 'Rb6 Si2'
_cell_length_a 8.5668
_cell_length_b 8.5668
_cell_length_c 6.1954
_cell_angle_alpha 90.00
_cell_angle_beta 90.00
_cell_angle_gamma 120.00
_space_group_name_H-M_alt 'P 63/m m c'
_space_group_IT_number 194
_space_group_name_Hall '-P 6c 2c'
loop_
_atom_site_label
_atom_site_type_symbol
_atom_site_fract_x
_atom_site_fract_y
_atom_site_fract_z
_atom_site_occupancy
Rb1 Rb 0.1860 0.3721 0.2500 1
Si1 Si 0.3333 0.6667 0.7500 1

---

# PBE-GGA Rb3Si, relaxed
# - relative energy among the computed polymorphs (eV per formula unit) = 0.000
# - energy with MP2020 corrections (eV/cell) = -13.63
# - total magnetization (μB per atom) = 0.2500
data_Rb3Si
_chemical_formula_sum 'Rb6 Si2'
_cell_length_a 6.263
_cell_length_b 6.263
_cell_length_c 9.255
_cell_angle_alpha 90.00
_cell_angle_beta 90.00
_cell_angle_gamma 90.00
_space_group_name_H-M_alt 'I 4/m m m'
_space_group_IT_number 139
_space_group_name_Hall '-I 4 2'
loop_
_atom_site_label
_atom_site_type_symbol
_atom_site_fract_x
_atom_site_fract_y
_atom_site_fract_z
_atom_site_occupancy
Rb1 Rb 0.000 0.000 0.000 1
Rb2 Rb 0.000 0.500 0.250 1
Si1 Si 0.000 0.000 0.500 1

---

# PBE-GGA RbSi, relaxed
# - relative energy among the computed polymorphs (eV per formula unit) = 0.039
# - energy with MP2020 corrections (eV/cell) = -204.11
data_RbSi
_chemical_formula_sum 'Rb32 Si32'
_cell_length_a 11.021
_cell_length_b 11.021
_cell_length_c 17.940
_cell_angle_alpha 90.00
_cell_angle_beta 90.00
_cell_angle_gamma 90.00
_space_group_name_H-M_alt 'I 41/a c d'
_space_group_IT_number 142
loop_
_space_group_symop_operation_xyz
'x,y,z'
'-x,-y,-z'
'-y+1/4,x+3/4,z+1/4'
'y+1/4,-x+3/4,-z+1/4'
'-x+1/2,-y,z+1/2'
'x+1/2,y,-z+1/2'
'y+1/4,-x+1/4,z+3/4'
'-y+1/4,x+1/4,-z+3/4'
'x,-y,-z+1/2'
'-x,y,z+1/2'
'-y+1/4,-x+1/4,-z+1/4'
'y+1/4,x+1/4,z+1/4'
'-x+1/2,y,-z'
'x+1/2,-y,z'
'y+1/4,x+3/4,-z+3/4'
'-y+1/4,-x+3/4,z+3/4'
'x+1/2,y+1/2,z+1/2'
'-x+1/2,-y+1/2,-z+1/2'
'-y+3/4,x+1/4,z+3/4'
'y+3/4,-x+1/4,-z+3/4'
'-x,-y+1/2,z'
'x,y+1/2,-z'
'y+3/4,-x+3/4,z+1/4'
'-y+3/4,x+3/4,-z+1/4'
'x+1/2,-y+1/2,-z'
'-x+1/2,y+1/2,z'
'-y+3/4,-x+3/4,-z+3/4'
'y+3/4,x+3/4,z+3/4'
'-x,y+1/2,-z+1/2'
'x,-y+1/2,z+1/2'
'y+3/4,x+1/4,-z+1/4'
'-y+3/4,-x+1/4,z+1/4'
loop_
_atom_site_label
_atom_site_type_symbol
_atom_site_fract_x
_atom_site_fract_y
_atom_site_fract_z
_atom_site_occupancy
Rb1 Rb 0.119 0.131 0.125 1
Rb2 Rb 0.143 0.000 0.750 1
Si1 Si 0.057 0.155 0.923 1

---

# PBE-GGA RbSi, relaxed
# - relative energy among the computed polymorphs (eV per formula unit) = 0.000
# - energy with MP2020 corrections (eV/cell) = -205.35
# - maximum piezoelectric response (C/m2) = 0.09
data_RbSi
_chemical_formula_sum 'Rb32 Si32'
_cell_length_a 13.187
_cell_length_b 13.187
_cell_length_c 13.187
_cell_angle_alpha 90.00
_cell_angle_beta 90.00
_cell_angle_gamma 90.00
_space_group_name_H-M_alt 'P -4 3 n'
_space_group_IT_number 218
_space_group_name_Hall 'P -4n 2 3'
loop_
_atom_site_label
_atom_site_type_symbol
_atom_site_fract_x
_atom_site_fract_y
_atom_site_fract_z
_atom_site_occupancy
Rb1 Rb 0.066 0.140 0.337 1
Rb2 Rb 0.166 0.166 0.834 1
Si1 Si 0.060 0.429 0.315 1
Si2 Si 0.065 0.065 0.065 1

---

The following is a PBE-GGA calculation of crystalline RbSn at its relaxed geometry, from Materials Project.

```
data_RbSn
_chemical_formula_sum 'Rb32 Sn32'
_cell_length_a 11.939
_cell_length_b 11.939
_cell_length_c 19.535
_cell_angle_alpha 90.00
_cell_angle_beta 90.00
_cell_angle_gamma 90.00
_space_group_name_H-M_alt 'I 41/a c d'
_space_group_IT_number 142
loop_
_space_group_symop_operation_xyz
'x,y,z'
'-x,-y,-z'
'-y+1/4,x+3/4,z+1/4'
'y+1/4,-x+3/4,-z+1/4'
'-x+1/2,-y,z+1/2'
'x+1/2,y,-z+1/2'
'y+1/4,-x+1/4,z+3/4'
'-y+1/4,x+1/4,-z+3/4'
'x,-y,-z+1/2'
'-x,y,z+1/2'
'-y+1/4,-x+1/4,-z+1/4'
'y+1/4,x+1/4,z+1/4'
'-x+1/2,y,-z'
'x+1/2,-y,z'
'y+1/4,x+3/4,-z+3/4'
'-y+1/4,-x+3/4,z+3/4'
'x+1/2,y+1/2,z+1/2'
'-x+1/2,-y+1/2,-z+1/2'
'-y+3/4,x+1/4,z+3/4'
'y+3/4,-x+1/4,-z+3/4'
'-x,-y+1/2,z'
'x,y+1/2,-z'
'y+3/4,-x+3/4,z+1/4'
'-y+3/4,x+3/4,-z+1/4'
'x+1/2,-y+1/2,-z'
'-x+1/2,y+1/2,z'
'-y+3/4,-x+3/4,-z+3/4'
'y+3/4,x+3/4,z+3/4'
'-x,y+1/2,-z+1/2'
'x,-y+1/2,z+1/2'
'y+3/4,x+1/4,-z+1/4'
'-y+3/4,-x+1/4,z+1/4'
loop_
_atom_site_label
_atom_site_type_symbol
_atom_site_fract_x
_atom_site_fract_y
_atom_site_fract_z
_atom_site_occupancy
Rb1 Rb 0.122 0.128 0.125 1
Rb2 Rb 0.138 0.000 0.750 1
Sn1 Sn 0.063 0.141 0.930 1
```

---

# PBE-GGA Rb2SnTe5, relaxed
# - relative energy among the computed polymorphs (eV per formula unit) = 0.033
# - energy with MP2020 corrections (eV/cell) = -112.21
# - total magnetization (μB per atom) = 0.0003
data_Rb2SnTe5
_chemical_formula_sum 'Rb8 Sn4 Te20'
_cell_length_a 8.930
_cell_length_b 8.930
_cell_length_c 15.699
_cell_angle_alpha 90.00
_cell_angle_beta 90.00
_cell_angle_gamma 90.00
_space_group_name_H-M_alt 'I 4 c m'
_space_group_IT_number 108
_space_group_name_Hall 'I 4 -2c'
loop_
_atom_site_label
_atom_site_type_symbol
_atom_site_fract_x
_atom_site_fract_y
_atom_site_fract_z
_atom_site_occupancy
Rb1 Rb 0.000 0.000 0.000 1
Rb2 Rb 0.000 0.000 0.250 1
Sn1 Sn 0.000 0.500 0.004 1
Te1 Te 0.000 0.500 0.254 1
Te2 Te 0.173 0.327 0.120 1
Te3 Te 0.173 0.327 0.388 1

---

# PBE-GGA Rb2SnTe5, relaxed
# - relative energy among the computed polymorphs (eV per formula unit) = 0.000
# - energy with MP2020 corrections (eV/cell) = -112.34
data_Rb2SnTe5
_chemical_formula_sum 'Rb8 Sn4 Te20'
_cell_length_a 8.930
_cell_length_b 8.930
_cell_length_c 15.699
_cell_angle_alpha 90.00
_cell_angle_beta 90.00
_cell_angle_gamma 90.00
_space_group_name_H-M_alt 'I 4 c m'
_space_group_IT_number 108
_space_group_name_Hall 'I 4 -2c'
loop_
_atom_site_label
_atom_site_type_symbol
_atom_site_fract_x
_atom_site_fract_y
_atom_site_fract_z
_atom_site_occupancy
Rb1 Rb 0.000 0.000 0.000 1
Rb2 Rb 0.000 0.000 0.250 1
Sn1 Sn 0.000 0.500 0.001 1
Te1 Te 0.000 0.500 0.251 1
Te2 Te 0.173 0.327 0.114 1
Te3 Te 0.173 0.327 0.388 1

---

# PBE-GGA RbSr3, relaxed
# - relative energy among the computed polymorphs (eV per formula unit) = 0.015
# - total magnetization (μB per atom) = 0.0039
data_RbSr3
_chemical_formula_sum 'Rb4 Sr12'
_cell_length_a 9.935
_cell_length_b 9.935
_cell_length_c 9.935
_cell_angle_alpha 90.00
_cell_angle_beta 90.00
_cell_angle_gamma 90.00
_space_group_name_H-M_alt 'F m -3 m'
_space_group_IT_number 225
_space_group_name_Hall '-F 4 2 3'
loop_
_atom_site_label
_atom_site_type_symbol
_atom_site_fract_x
_atom_site_fract_y
_atom_site_fract_z
_atom_site_occupancy
Rb1 Rb 0.000 0.000 0.000 1
Sr1 Sr 0.000 0.000 0.500 1
Sr2 Sr 0.250 0.250 0.250 1

---

# PBE-GGA RbSr3, relaxed
# - relative energy among the computed polymorphs (eV per formula unit) = 0.001
# - total magnetization (μB per atom) = 0.0171
data_RbSr3
_chemical_formula_sum 'Rb2 Sr6'
_cell_length_a 6.181
_cell_length_b 6.181
_cell_length_c 12.752
_cell_angle_alpha 90.00
_cell_angle_beta 90.00
_cell_angle_gamma 90.00
_space_group_name_H-M_alt 'I 4/m m m'
_space_group_IT_number 139
_space_group_name_Hall '-I 4 2'
loop_
_atom_site_label
_atom_site_type_symbol
_atom_site_fract_x
_atom_site_fract_y
_atom_site_fract_z
_atom_site_occupancy
Rb1 Rb 0.000 0.000 0.000 1
Sr1 Sr 0.000 0.000 0.500 1
Sr2 Sr 0.000 0.500 0.250 1

---

# PBE-GGA RbSr3, relaxed
# - relative energy among the computed polymorphs (eV per formula unit) = 0.000
# - total magnetization (μB per atom) = 0.0100
data_RbSr3
_chemical_formula_sum 'Rb1 Sr3'
_cell_length_a 6.247
_cell_length_b 6.247
_cell_length_c 6.247
_cell_angle_alpha 90.00
_cell_angle_beta 90.00
_cell_angle_gamma 90.00
_space_group_name_H-M_alt 'P m -3 m'
_space_group_IT_number 221
_space_group_name_Hall '-P 4 2 3'
loop_
_atom_site_label
_atom_site_type_symbol
_atom_site_fract_x
_atom_site_fract_y
_atom_site_fract_z
_atom_site_occupancy
Rb1 Rb 0.000 0.000 0.000 1
Sr1 Sr 0.000 0.500 0.500 1

---

# PBE-GGA Rb3Tb, relaxed
# - relative energy among the computed polymorphs (eV per formula unit) = 0.000
# - total magnetization (μB per atom) = 0.1054
data_Rb3Tb
_chemical_formula_sum 'Rb6 Tb2'
_cell_length_a 6.239
_cell_length_b 6.239
_cell_length_c 13.611
_cell_angle_alpha 90.00
_cell_angle_beta 90.00
_cell_angle_gamma 90.00
_space_group_name_H-M_alt 'I 4/m m m'
_space_group_IT_number 139
_space_group_name_Hall '-I 4 2'
loop_
_atom_site_label
_atom_site_type_symbol
_atom_site_fract_x
_atom_site_fract_y
_atom_site_fract_z
_atom_site_occupancy
Rb1 Rb 0.000 0.000 0.000 1
Rb2 Rb 0.000 0.500 0.250 1
Tb1 Tb 0.000 0.000 0.500 1

---

# PBE-GGA Rb3Tb, relaxed
# - relative energy among the computed polymorphs (eV per formula unit) = 0.013
# - total magnetization (μB per atom) = 0.0887
data_Rb3Tb
_chemical_formula_sum 'Rb12 Tb4'
_cell_length_a 10.268
_cell_length_b 10.268
_cell_length_c 10.268
_cell_angle_alpha 90.00
_cell_angle_beta 90.00
_cell_angle_gamma 90.00
_space_group_name_H-M_alt 'F m -3 m'
_space_group_IT_number 225
_space_group_name_Hall '-F 4 2 3'
loop_
_atom_site_label
_atom_site_type_symbol
_atom_site_fract_x
_atom_site_fract_y
_atom_site_fract_z
_atom_site_occupancy
Rb1 Rb 0.000 0.000 0.000 1
Rb2 Rb 0.250 0.250 0.250 1
Tb1 Tb 0.000 0.000 0.500 1

---

# PBE-GGA RbTe, relaxed
# - energy with MP2020 corrections (eV/cell) = -20.08
# - total magnetization (μB per atom) = 0.5000
data_RbTe
_chemical_formula_sum 'Rb4 Te4'
_cell_length_a 8.403
_cell_length_b 8.403
_cell_length_c 8.403
_cell_angle_alpha 90.00
_cell_angle_beta 90.00
_cell_angle_gamma 90.00
_space_group_name_H-M_alt 'F -4 3 m'
_space_group_IT_number 216
_space_group_name_Hall 'F -4 2 3'
loop_
_atom_site_label
_atom_site_type_symbol
_atom_site_fract_x
_atom_site_fract_y
_atom_site_fract_z
_atom_site_occupancy
Rb1 Rb 0.000 0.000 0.000 1
Te1 Te 0.250 0.250 0.750 1

---

# PBE-GGA RbTe6, relaxed
# - energy with MP2020 corrections (eV/cell) = -96.82
data_RbTe6
_chemical_formula_sum 'Rb4 Te24'
_cell_length_a 12.252
_cell_length_b 7.399
_cell_length_c 12.662
_cell_angle_alpha 90.00
_cell_angle_beta 112.04
_cell_angle_gamma 90.00
_space_group_name_H-M_alt 'C 1 2/c 1'
_space_group_IT_number 15
_space_group_name_Hall '-C 2yc'
loop_
_atom_site_label
_atom_site_type_symbol
_atom_site_fract_x
_atom_site_fract_y
_atom_site_fract_z
_atom_site_occupancy
Rb1 Rb 0.000 0.126 0.250 1
Te1 Te 0.078 0.202 0.557 1
Te2 Te 0.184 0.447 0.092 1
Te3 Te 0.218 0.482 0.854 1

---

# PBE-GGA Rb2Te3, relaxed
# - energy with MP2020 corrections (eV/cell) = -64.74
data_Rb2Te3
_chemical_formula_sum 'Rb8 Te12'
_cell_length_a 16.276
_cell_length_b 10.929
_cell_length_c 4.730
_cell_angle_alpha 90.00
_cell_angle_beta 90.00
_cell_angle_gamma 90.00
_space_group_name_H-M_alt 'P n m a'
_space_group_IT_number 62
_space_group_name_Hall '-P 2ac 2n'
loop_
_atom_site_label
_atom_site_type_symbol
_atom_site_fract_x
_atom_site_fract_y
_atom_site_fract_z
_atom_site_occupancy
Rb1 Rb 0.124 0.030 0.222 1
Te1 Te 0.015 0.250 0.700 1
Te2 Te 0.124 0.750 0.678 1
Te3 Te 0.241 0.250 0.788 1

---

# PBE-GGA RbTe, relaxed
# - energy with MP2020 corrections (eV/cell) = -21.32
# - total magnetization (μB per atom) = 0.5000
data_RbTe
_chemical_formula_sum 'Rb4 Te4'
_cell_length_a 7.476
_cell_length_b 7.476
_cell_length_c 7.476
_cell_angle_alpha 90.00
_cell_angle_beta 90.00
_cell_angle_gamma 90.00
_space_group_name_H-M_alt 'F m -3 m'
_space_group_IT_number 225
_space_group_name_Hall '-F 4 2 3'
loop_
_atom_site_label
_atom_site_type_symbol
_atom_site_fract_x
_atom_site_fract_y
_atom_site_fract_z
_atom_site_occupancy
Rb1 Rb 0.000 0.000 0.000 1
Te1 Te 0.000 0.000 0.500 1

---

# PBE-GGA RbTe, relaxed
# - energy with MP2020 corrections (eV/cell) = -37.32
# - maximum piezoelectric response (C/m2) = 0.03
data_RbTe
_chemical_formula_sum 'Rb6 Te6'
_cell_length_a 10.1187
_cell_length_b 10.1187
_cell_length_c 6.6553
_cell_angle_alpha 90.00
_cell_angle_beta 90.00
_cell_angle_gamma 120.00
_space_group_name_H-M_alt 'P -6 2 m'
_space_group_IT_number 189
_space_group_name_Hall 'P -6 -2'
loop_
_atom_site_label
_atom_site_type_symbol
_atom_site_fract_x
_atom_site_fract_y
_atom_site_fract_z
_atom_site_occupancy
Rb1 Rb 0.0000 0.3202 0.0000 1
Rb2 Rb 0.0000 0.6540 0.5000 1
Te1 Te 0.0000 0.0000 0.2878 1
Te2 Te 0.3333 0.6667 0.2132 1

---

# PBE-GGA RbTe, relaxed
# - energy with MP2020 corrections (eV/cell) = -24.69
data_RbTe
_chemical_formula_sum 'Rb4 Te4'
_cell_length_a 5.982
_cell_length_b 11.277
_cell_length_c 4.947
_cell_angle_alpha 90.00
_cell_angle_beta 90.00
_cell_angle_gamma 90.00
_space_group_name_H-M_alt 'P b a m'
_space_group_IT_number 55
_space_group_name_Hall '-P 2 2ab'
loop_
_atom_site_label
_atom_site_type_symbol
_atom_site_fract_x
_atom_site_fract_y
_atom_site_fract_z
_atom_site_occupancy
Rb1 Rb 0.179 0.134 0.000 1
Te1 Te 0.141 0.398 0.500 1

---

The following energy relative to the elements values (in kJ/mol of formula units) correspond, in order, to the records above: 154.0, 149.9, 2.7, -1.1, -53.8, -614.2, -617.3, 54.1, 52.8, 52.7, 246.6, 247.9, -86.5, -421.2, -462.5, -116.5, -202.3, -197.6.